No. 1
First-principles (PBE with a Hubbard U) data for crystalline LiCrCo3O8 at its relaxed geometry, as listed in the Materials Project.

```
data_LiCrCo3O8
_symmetry_space_group_name_H-M 'P -1'
_symmetry_Int_Tables_number 2
_cell_length_a 5.7071
_cell_length_b 5.7317
_cell_length_c 10.4572
_cell_angle_alpha 74.46
_cell_angle_beta 74.21
_cell_angle_gamma 60.28
loop_
_symmetry_equiv_pos_as_xyz
'x,y,z'
'-x,-y,-z'
loop_
_atom_site_label
_atom_site_fract_x
_atom_site_fract_y
_atom_site_fract_z
Li1 0.2487 0.2508 0.2510
Cr1 0.0000 0.0000 0.0000
Cr2 0.5000 0.5000 0.5000
Co1 0.0000 0.0000 0.5000
Co2 0.0000 0.5000 0.0000
Co3 0.0000 0.5000 0.5000
Co4 0.5000 0.0000 0.0000
Co5 0.5000 0.0000 0.5000
Co6 0.5000 0.5000 0.0000
O1 0.1156 0.6426 0.6005
O2 0.1344 0.1357 0.5973
O3 0.1418 0.6175 0.0982
O4 0.1439 0.1436 0.0989
O5 0.3566 0.3596 0.3990
O6 0.3584 0.8846 0.4001
O7 0.3662 0.3648 0.9026
O8 0.3852 0.8573 0.9016
```

Output
DFT formation energy, meV/atom: -1514
Total moment, Bohr magnetons per cell: 12.0
Crystal system: triclinic
DFT total energy, eV/cell: -159.5
Mass density, g/cm³: 4.3



No. 2
First-principles (PBE with a Hubbard U) data for crystalline MgTi2Ni2O6 at its relaxed geometry, as listed in the Materials Project.

```
data_MgTi2Ni2O6
_symmetry_space_group_name_H-M 'P 1'
_symmetry_Int_Tables_number 1
_cell_length_a 5.1281
_cell_length_b 5.3174
_cell_length_c 5.4297
_cell_angle_alpha 109.83
_cell_angle_beta 104.10
_cell_angle_gamma 112.65
loop_
_symmetry_equiv_pos_as_xyz
'x,y,z'
loop_
_atom_site_label
_atom_site_fract_x
_atom_site_fract_y
_atom_site_fract_z
Mg1 0.0000 0.0000 0.0000
Ti1 0.3804 0.7465 0.1902
Ti2 0.7192 0.4797 0.3955
Ni1 0.1720 0.3804 0.6165
Ni2 0.5758 0.1606 0.7738
O1 0.0965 0.5871 0.3632
O2 0.3574 0.1522 0.3985
O3 0.3767 0.3492 0.0069
O4 0.6353 0.0028 0.0719
O5 0.7305 0.8763 0.5664
O6 0.9506 0.5683 0.8295
```

Output
DFT formation energy, meV/atom: -2326
Total moment, Bohr magnetons per cell: 2.0
Crystal system: triclinic
DFT total energy, eV/cell: -75.0
Mass density, g/cm³: 4.8
E above lowest polymorph, meV per atom: 53



No. 3
First-principles (PBE with a Hubbard U) data for crystalline Li2Ni3O3F2 at its relaxed geometry, as listed in the Materials Project.

```
data_Li2Ni3O3F2
_symmetry_space_group_name_H-M 'I 4/m m m'
_symmetry_Int_Tables_number 139
_symmetry_space_group_name_Hall '-I 4 2'
_cell_length_a 2.9536
_cell_length_b 2.9536
_cell_length_c 20.9964
_cell_angle_alpha 90.00
_cell_angle_beta 90.00
_cell_angle_gamma 90.00
loop_
_atom_site_label
_atom_site_fract_x
_atom_site_fract_y
_atom_site_fract_z
Li1 0.0000 0.0000 0.1995
Ni1 0.0000 0.0000 0.0000
Ni2 0.0000 0.0000 0.3998
O1 0.0000 0.0000 0.1015
O2 0.0000 0.0000 0.5000
F1 0.0000 0.0000 0.2968
```

Output
DFT formation energy, meV/atom: -1943
Total moment, Bohr magnetons per cell: 12.0
Crystal system: tetragonal
DFT total energy, eV/cell: -97.3
Mass density, g/cm³: 5.0



No. 4
First-principles (PBE with a Hubbard U) data for crystalline BaCrSnBiO6 at its relaxed geometry, as listed in the Materials Project.

```
data_BaCrSnBiO6
_symmetry_space_group_name_H-M 'F -4 3 m'
_symmetry_Int_Tables_number 216
_symmetry_space_group_name_Hall 'F -4 2 3'
_cell_length_a 8.1163
_cell_length_b 8.1163
_cell_length_c 8.1163
_cell_angle_alpha 90.00
_cell_angle_beta 90.00
_cell_angle_gamma 90.00
loop_
_atom_site_label
_atom_site_fract_x
_atom_site_fract_y
_atom_site_fract_z
Ba1 0.0000 0.0000 0.0000
Cr1 0.2500 0.2500 0.2500
Sn1 0.2500 0.2500 0.7500
Bi1 0.0000 0.0000 0.5000
O1 0.0034 0.2500 0.2500
```

Output
DFT formation energy, meV/atom: -2133
Total moment, Bohr magnetons per cell: 12.0
Crystal system: cubic
DFT total energy, eV/cell: -257.5
Mass density, g/cm³: 7.6



No. 5
First-principles (PBE with a Hubbard U) data for crystalline FeSnO6 at its relaxed geometry, as listed in the Materials Project.

```
data_FeSnO6
_symmetry_space_group_name_H-M 'P n -3'
_symmetry_Int_Tables_number 201
_cell_length_a 7.0475
_cell_length_b 7.0475
_cell_length_c 7.0475
_cell_angle_alpha 90.00
_cell_angle_beta 90.00
_cell_angle_gamma 90.00
loop_
_symmetry_equiv_pos_as_xyz
'x,y,z'
'-x,-y,-z'
'-x+1/2,-y+1/2,z'
'x+1/2,y+1/2,-z'
'x,-y+1/2,-z+1/2'
'-x,y+1/2,z+1/2'
'-x+1/2,y,-z+1/2'
'x+1/2,-y,z+1/2'
'z,x,y'
'-z,-x,-y'
'z,-x+1/2,-y+1/2'
'-z,x+1/2,y+1/2'
'-z+1/2,x,-y+1/2'
'z+1/2,-x,y+1/2'
'-z+1/2,-x+1/2,y'
'z+1/2,x+1/2,-y'
'y,z,x'
'-y,-z,-x'
'-y+1/2,z,-x+1/2'
'y+1/2,-z,x+1/2'
'-y+1/2,-z+1/2,x'
'y+1/2,z+1/2,-x'
'y,-z+1/2,-x+1/2'
'-y,z+1/2,x+1/2'
loop_
_atom_site_label
_atom_site_fract_x
_atom_site_fract_y
_atom_site_fract_z
Fe1 0.0000 0.0000 0.0000
Sn1 0.0000 0.0000 0.5000
O1 0.0702 0.6448 0.7440
```

Output
DFT formation energy, meV/atom: -675
Total moment, Bohr magnetons per cell: 16.0
Crystal system: cubic
DFT total energy, eV/cell: -170.1
Mass density, g/cm³: 5.1
E above lowest polymorph, meV per atom: 0



No. 6
First-principles (PBE with a Hubbard U) data for crystalline LiCr2P3O12 at its relaxed geometry, as listed in the Materials Project.

```
data_LiCr2P3O12
_symmetry_space_group_name_H-M 'P n a 21'
_symmetry_Int_Tables_number 33
_cell_length_a 8.6426
_cell_length_b 8.5445
_cell_length_c 12.0451
_cell_angle_alpha 90.00
_cell_angle_beta 90.00
_cell_angle_gamma 90.00
loop_
_symmetry_equiv_pos_as_xyz
'x,y,z'
'-x,-y,z+1/2'
'-x+1/2,y+1/2,z+1/2'
'x+1/2,-y+1/2,z'
loop_
_atom_site_label
_atom_site_fract_x
_atom_site_fract_y
_atom_site_fract_z
Li1 0.2241 0.0368 0.0000
Cr1 0.0316 0.9970 0.7983
Cr2 0.0424 0.5064 0.0633
P1 0.1055 0.3554 0.3268
P2 0.1052 0.8526 0.5366
P3 0.2475 0.2861 0.6832
O1 0.0135 0.0724 0.9558
O2 0.0149 0.5788 0.9099
O3 0.0608 0.9051 0.6538
O4 0.0661 0.4051 0.2092
O5 0.0930 0.1754 0.3412
O6 0.0959 0.6709 0.5237
O7 0.1400 0.1911 0.7549
O8 0.1448 0.6878 0.1076
O9 0.1595 0.4017 0.6040
O10 0.1598 0.8964 0.2636
O11 0.2266 0.4038 0.0074
O12 0.2320 0.9156 0.8596
```

Output
DFT formation energy, meV/atom: -2448
Total moment, Bohr magnetons per cell: 16.0
Crystal system: orthorhombic
DFT total energy, eV/cell: -514.6
Mass density, g/cm³: 3.0
E above lowest polymorph, meV per atom: 19



No. 7
First-principles (PBE with a Hubbard U) data for crystalline MgMnP2O7 at its relaxed geometry, as listed in the Materials Project.

```
data_MgMnP2O7
_symmetry_space_group_name_H-M 'P 1'
_symmetry_Int_Tables_number 1
_cell_length_a 5.1155
_cell_length_b 5.4922
_cell_length_c 5.9034
_cell_angle_alpha 75.16
_cell_angle_beta 71.26
_cell_angle_gamma 84.89
loop_
_symmetry_equiv_pos_as_xyz
'x,y,z'
loop_
_atom_site_label
_atom_site_fract_x
_atom_site_fract_y
_atom_site_fract_z
Mg1 0.0000 0.0000 0.0000
Mn1 0.8167 0.8938 0.5855
P1 0.3121 0.5109 0.7842
P2 0.4616 0.1163 0.1392
O1 0.1030 0.7297 0.8235
O2 0.1808 0.2937 0.7461
O3 0.1901 0.9669 0.2637
O4 0.3740 0.4062 0.0535
O5 0.5896 0.5969 0.5982
O6 0.6363 0.0231 0.9093
O7 0.6570 0.1061 0.2897
```

Output
DFT formation energy, meV/atom: -2694
Total moment, Bohr magnetons per cell: 5.0
Crystal system: triclinic
DFT total energy, eV/cell: -79.4
Mass density, g/cm³: 2.8
E above lowest polymorph, meV per atom: 90



No. 8
First-principles (PBE with a Hubbard U) data for crystalline Mn3O2F4 at its relaxed geometry, as listed in the Materials Project.

```
data_Mn3O2F4
_symmetry_space_group_name_H-M 'P 1 2/m 1'
_symmetry_Int_Tables_number 10
_cell_length_a 4.8752
_cell_length_b 3.1607
_cell_length_c 14.4917
_cell_angle_alpha 90.00
_cell_angle_beta 90.05
_cell_angle_gamma 90.00
loop_
_symmetry_equiv_pos_as_xyz
'x,y,z'
'-x,-y,-z'
'-x,y,-z'
'x,-y,z'
loop_
_atom_site_label
_atom_site_fract_x
_atom_site_fract_y
_atom_site_fract_z
Mn1 0.0000 0.0000 0.0000
Mn2 0.0699 0.0000 0.6572
Mn3 0.4286 0.5000 0.1576
Mn4 0.5000 0.5000 0.5000
O1 0.2371 0.5000 0.5974
O2 0.2633 0.0000 0.0975
F1 0.1279 0.5000 0.2731
F2 0.2062 0.5000 0.9363
F3 0.2950 0.0000 0.4363
F4 0.3731 0.0000 0.7727
```

Output
DFT formation energy, meV/atom: -2537
Total moment, Bohr magnetons per cell: 25.9
Crystal system: monoclinic
DFT total energy, eV/cell: -119.3
Mass density, g/cm³: 4.1
E above lowest polymorph, meV per atom: 4



No. 9
First-principles (PBE with a Hubbard U) data for crystalline KMg6CoO8 at its relaxed geometry, as listed in the Materials Project.

```
data_KMg6CoO8
_symmetry_space_group_name_H-M 'P 4/m m m'
_symmetry_Int_Tables_number 123
_symmetry_space_group_name_Hall '-P 4 2'
_cell_length_a 4.5199
_cell_length_b 4.5199
_cell_length_c 8.4770
_cell_angle_alpha 90.00
_cell_angle_beta 90.00
_cell_angle_gamma 90.00
loop_
_atom_site_label
_atom_site_fract_x
_atom_site_fract_y
_atom_site_fract_z
K1 0.0000 0.0000 0.0000
Mg1 0.0000 0.5000 0.2496
Mg2 0.5000 0.5000 0.0000
Mg3 0.5000 0.5000 0.5000
Co1 0.0000 0.0000 0.5000
O1 0.0000 0.0000 0.2844
O2 0.0000 0.5000 0.0000
O3 0.0000 0.5000 0.5000
O4 0.5000 0.5000 0.2529
```

Output
DFT formation energy, meV/atom: -2386
Total moment, Bohr magnetons per cell: 4.0
Crystal system: tetragonal
DFT total energy, eV/cell: -88.4
Mass density, g/cm³: 3.6
E above lowest polymorph, meV per atom: 0



No. 10
First-principles (PBE with a Hubbard U) data for crystalline Li3FeP2O8 at its relaxed geometry, as listed in the Materials Project.

```
data_Li3FeP2O8
_symmetry_space_group_name_H-M 'P 1 21/c 1'
_symmetry_Int_Tables_number 14
_cell_length_a 19.6786
_cell_length_b 5.0921
_cell_length_c 12.8180
_cell_angle_alpha 90.00
_cell_angle_beta 108.98
_cell_angle_gamma 90.00
loop_
_symmetry_equiv_pos_as_xyz
'x,y,z'
'-x,-y,-z'
'-x,y+1/2,-z+1/2'
'x,-y+1/2,z+1/2'
loop_
_atom_site_label
_atom_site_fract_x
_atom_site_fract_y
_atom_site_fract_z
Li1 0.0329 0.2022 0.1836
Li2 0.1185 0.6998 0.2856
Li3 0.1857 0.2084 0.9330
Li4 0.3213 0.7133 0.7514
Li5 0.3823 0.1901 0.1733
Li6 0.4631 0.7024 0.1479
Fe1 0.1407 0.7110 0.0263
Fe2 0.3616 0.2273 0.8862
P1 0.0426 0.2403 0.9250
P2 0.1998 0.2027 0.1949
P3 0.3020 0.7231 0.9945
P4 0.4613 0.7494 0.8854
O1 0.0232 0.7083 0.6800
O2 0.0303 0.2417 0.5351
O3 0.0852 0.0125 0.4036
O4 0.0949 0.0024 0.9249
O5 0.1614 0.1782 0.7698
O6 0.1748 0.5906 0.6669
O7 0.1885 0.1331 0.5890
O8 0.2195 0.7269 0.4682
O9 0.2837 0.1849 0.2491
O10 0.3160 0.0775 0.4826
O11 0.3185 0.6190 0.4020
O12 0.3457 0.6824 0.6103
O13 0.4102 0.5091 0.8311
O14 0.4183 0.5051 0.3197
O15 0.4712 0.2181 0.6492
O16 0.4714 0.7402 0.5067
```

Output
DFT formation energy, meV/atom: -2482
Total moment, Bohr magnetons per cell: 40.0
Crystal system: monoclinic
DFT total energy, eV/cell: -732.9
Mass density, g/cm³: 2.9
E above lowest polymorph, meV per atom: 79



No. 11
First-principles (PBE with a Hubbard U) data for crystalline Li4Mn3F10 at its relaxed geometry, as listed in the Materials Project.

```
data_Li4Mn3F10
_symmetry_space_group_name_H-M 'C 1 2/c 1'
_symmetry_Int_Tables_number 15
_cell_length_a 11.2676
_cell_length_b 16.5055
_cell_length_c 5.2150
_cell_angle_alpha 90.00
_cell_angle_beta 100.36
_cell_angle_gamma 90.00
loop_
_symmetry_equiv_pos_as_xyz
'x,y,z'
'-x,-y,-z'
'-x,y,-z+1/2'
'x,-y,z+1/2'
'x+1/2,y+1/2,z'
'-x+1/2,-y+1/2,-z'
'-x+1/2,y+1/2,-z+1/2'
'x+1/2,-y+1/2,z+1/2'
loop_
_atom_site_label
_atom_site_fract_x
_atom_site_fract_y
_atom_site_fract_z
Li1 0.0000 0.0771 0.2500
Li2 0.0000 0.2096 0.7500
Li3 0.1392 0.2411 0.3244
Mn1 0.0000 0.3850 0.7500
Mn2 0.2016 0.0775 0.8437
F1 0.0224 0.2933 0.5047
F2 0.0872 0.1480 0.0481
F3 0.1228 0.0266 0.4892
F4 0.1483 0.4500 0.8828
F5 0.2267 0.1852 0.6570
```

Output
DFT formation energy, meV/atom: -2961
Total moment, Bohr magnetons per cell: 60.0
Crystal system: monoclinic
DFT total energy, eV/cell: -379.9
Mass density, g/cm³: 2.7
E above lowest polymorph, meV per atom: 58